Record 1
This record from the Materials Project database describes crystalline CaAs at its relaxed geometry. The functional is GGA-PBE.

a b c (Å): 5.9208 7.9162 7.9162
angles (deg): 120.00 90.00 90.00
Positions (direct):
Ca 0.0000 0.0000 0.6831
Ca 0.0000 0.3169 0.3169
Ca 0.0000 0.6831 0.0000
Ca 0.5000 0.0000 0.3492
Ca 0.5000 0.6508 0.6508
Ca 0.5000 0.3492 0.0000
As 0.7141 0.0000 0.0000
As 0.2859 0.0000 0.0000
As 0.7811 0.3333 0.6667
As 0.2189 0.3333 0.6667
As 0.2189 0.6667 0.3333
As 0.7811 0.6667 0.3333

Computed properties:
- ΔH_f (0 K): -105.1 kJ/mol of atoms

***

Record 2
This record from the Materials Project database describes crystalline MgH2 at its relaxed geometry. The functional is GGA-PBE.

a b c (Å): 4.7571 4.9052 9.3194
angles (deg): 90.00 90.00 90.00
Positions (direct):
Mg 0.2694 0.0307 0.1167
Mg 0.2306 0.5307 0.8833
Mg 0.7306 0.4693 0.6167
Mg 0.7694 0.4693 0.1167
Mg 0.7694 0.9693 0.3833
Mg 0.2694 0.5307 0.3833
Mg 0.2306 0.0307 0.6167
Mg 0.7306 0.9693 0.8833
H 0.5125 0.2428 0.4739
H 0.0125 0.2572 0.4739
H 0.0125 0.7572 0.0261
H 0.9875 0.7428 0.5261
H 0.3339 0.3834 0.7014
H 0.3339 0.8834 0.7986
H 0.4875 0.2572 0.9739
H 0.9875 0.2428 0.9739
H 0.8339 0.6166 0.7986
H 0.8339 0.1166 0.7014
H 0.5125 0.7428 0.0261
H 0.4875 0.7572 0.5261
H 0.6661 0.1166 0.2014
H 0.1661 0.8834 0.2986
H 0.1661 0.3834 0.2014
H 0.6661 0.6166 0.2986

Computed properties:
- ΔH_f (0 K): -24.3 kJ/mol of atoms

***

Record 3
This record from the Materials Project database describes crystalline Na2ZrSi6O18 at its relaxed geometry. The functional is GGA-PBE.

a b c (Å): 14.5949 7.4405 7.2910
angles (deg): 90.00 90.00 90.00
Positions (direct):
Na 0.2500 0.0343 0.9811
Na 0.7500 0.9657 0.9811
Na 0.5000 0.0000 0.5012
Na 0.0000 0.0000 0.5012
Zr 0.5000 0.0000 0.0052
Zr 0.0000 0.0000 0.0052
Si 0.3584 0.7156 0.2854
Si 0.6416 0.2844 0.2854
Si 0.1416 0.7156 0.2854
Si 0.8584 0.2844 0.2854
Si 0.3578 0.7200 0.7242
Si 0.6422 0.2800 0.7242
Si 0.1422 0.7200 0.7242
Si 0.8578 0.2800 0.7242
Si 0.3602 0.4081 0.0061
Si 0.6398 0.5919 0.0061
Si 0.1398 0.4081 0.0061
Si 0.8602 0.5919 0.0061
O 0.2500 0.7633 0.2386
O 0.7500 0.2367 0.2386
O 0.4200 0.8820 0.2158
O 0.5800 0.1180 0.2158
O 0.0800 0.8820 0.2158
O 0.9200 0.1180 0.2158
O 0.3862 0.5246 0.1895
O 0.6138 0.4754 0.1895
O 0.1138 0.5246 0.1895
O 0.8862 0.4754 0.1895
O 0.2500 0.3611 0.0132
O 0.7500 0.6389 0.0132
O 0.4097 0.2164 0.9995
O 0.5903 0.7836 0.9995
O 0.0903 0.2164 0.9995
O 0.9097 0.7836 0.9995
O 0.3719 0.6891 0.5054
O 0.6281 0.3109 0.5054
O 0.1281 0.6891 0.5054
O 0.8719 0.3109 0.5054
O 0.2500 0.7778 0.7676
O 0.7500 0.2222 0.7676
O 0.4205 0.8852 0.7919
O 0.5795 0.1148 0.7919
O 0.0795 0.8852 0.7919
O 0.9205 0.1148 0.7919
O 0.3814 0.5303 0.8247
O 0.6186 0.4697 0.8247
O 0.1186 0.5303 0.8247
O 0.8814 0.4697 0.8247
O 0.2500 0.1759 0.4344
O 0.7500 0.8241 0.4344
O 0.3256 0.2546 0.4788
O 0.6744 0.7454 0.4788
O 0.1744 0.2546 0.4788
O 0.8256 0.7454 0.4788

Computed properties:
- Total moment: 0.160 μB/cell
- ΔH_f (0 K): -233.7 kJ/mol of atoms
- Energy above the most stable polymorph in this dataset: 0.00 eV per formula unit

***

One value per record, in order, for final energy: -4.4215; -2.9278; -7.3404 eV per atom.